Run i
The following is a DFT calculation (PBE) of crystalline LiAgF2 at its relaxed geometry.

a = 5.942 Å, b = 5.942 Å, c = 5.727 Å
α = 90.00°, β = 90.00°, γ = 149.45°
Atoms (fractional coordinates):
Li1 0.106 0.894 0.750
Li2 0.894 0.106 0.250
Ag1 0.370 0.630 0.750
Ag2 0.630 0.370 0.250
F1 0.000 0.000 0.000
F2 0.000 0.000 0.500
F3 0.302 0.698 0.250
F4 0.698 0.302 0.750

Results
Its space group is Cmcm.


Run ii
The following is a DFT calculation (PBE) of crystalline LiAgF2 at its relaxed geometry.

a = 5.677 Å, b = 5.677 Å, c = 5.677 Å
α = 130.92°, β = 130.92°, γ = 71.93°
Atoms (fractional coordinates):
Li1 0.375 0.625 0.750
Li2 0.625 0.375 0.250
Ag1 0.125 0.875 0.250
Ag2 0.875 0.125 0.750
F1 0.165 0.415 0.750
F2 0.415 0.165 0.250
F3 0.585 0.835 0.750
F4 0.835 0.585 0.250

Results
Its space group is I4_1/amd.


Short version: run i is the most stable of them.


Run i
The following is a DFT calculation (PBE) of crystalline Mg7Si4 at its relaxed geometry.

a = 5.556 Å, b = 5.896 Å, c = 13.601 Å
α = 94.44°, β = 96.61°, γ = 100.55°
Atoms (fractional coordinates):
Mg1 0.000 0.000 0.000
Mg2 0.012 0.686 0.729
Mg3 0.074 0.598 0.314
Mg4 0.152 0.136 0.645
Mg5 0.198 0.058 0.219
Mg6 0.248 0.504 0.118
Mg7 0.309 0.527 0.527
Mg8 0.370 0.030 0.450
Mg9 0.478 0.885 0.998
Mg10 0.502 0.571 0.778
Mg11 0.659 0.402 0.981
Mg12 0.759 0.136 0.805
Mg13 0.831 0.700 0.490
Mg14 0.879 0.186 0.416
Si1 0.136 0.494 0.907
Si2 0.270 0.128 0.852
Si3 0.524 0.413 0.328
Si4 0.580 0.812 0.287
Si5 0.614 0.892 0.631
Si6 0.676 0.309 0.614
Si7 0.743 0.262 0.173
Si8 0.793 0.705 0.147

Results
Its space group is P1.


Run ii
The following is a DFT calculation (PBE) of crystalline Mg7Si4 at its relaxed geometry.

a = 8.513 Å, b = 3.550 Å, c = 14.828 Å
α = 90.00°, β = 92.26°, γ = 90.00°
Atoms (fractional coordinates):
Mg1 0.000 0.000 0.000
Mg2 0.010 0.500 0.352
Mg3 0.060 0.000 0.532
Mg4 0.135 0.000 0.200
Mg5 0.292 0.500 0.064
Mg6 0.359 0.500 0.538
Mg7 0.383 0.000 0.908
Mg8 0.455 0.500 0.747
Mg9 0.547 0.000 0.158
Mg10 0.634 0.000 0.623
Mg11 0.655 0.500 0.988
Mg12 0.773 0.500 0.488
Mg13 0.847 0.500 0.165
Mg14 0.919 0.500 0.685
Si1 0.154 0.500 0.826
Si2 0.195 0.000 0.717
Si3 0.273 0.000 0.384
Si4 0.354 0.500 0.276
Si5 0.558 0.000 0.415
Si6 0.645 0.500 0.313
Si7 0.704 0.000 0.818
Si8 0.878 0.500 0.864

Results
Its space group is Pm.


Short version: run i is the most stable of them.


Run i
The following is a DFT calculation (PBE) of crystalline LiNb2Te4Cl10O at its relaxed geometry.

a = 7.008 Å, b = 8.910 Å, c = 9.505 Å
α = 81.32°, β = 88.88°, γ = 74.61°
Atoms (fractional coordinates):
Li1 0.000 0.000 0.000
Nb1 0.223 0.362 0.668
Nb2 0.267 0.627 0.943
Te1 0.561 0.090 0.150
Te2 0.654 0.806 0.330
Te3 0.828 0.191 0.300
Te4 0.917 0.907 0.479
Cl1 0.064 0.222 0.858
Cl2 0.130 0.490 0.133
Cl3 0.191 0.181 0.511
Cl4 0.279 0.827 0.121
Cl5 0.354 0.516 0.493
Cl6 0.398 0.795 0.777
Cl7 0.537 0.200 0.743
Cl8 0.590 0.481 0.027
Cl9 0.895 0.527 0.601
Cl10 0.934 0.801 0.887
O1 0.240 0.499 0.811

Results
Its space group is P1.


Run ii
The following is a DFT calculation (PBE) of crystalline LiNb2Te4Cl10O at its relaxed geometry.

a = 7.058 Å, b = 8.891 Å, c = 9.523 Å
α = 96.42°, β = 90.96°, γ = 105.70°
Atoms (fractional coordinates):
Li1 0.000 0.000 0.000
Nb1 0.619 0.165 0.960
Nb2 0.646 0.879 0.231
Te1 0.075 0.706 0.601
Te2 0.230 0.318 0.562
Te3 0.346 0.595 0.739
Te4 0.961 0.429 0.422
Cl1 0.287 0.987 0.866
Cl2 0.338 0.712 0.158
Cl3 0.456 0.307 0.112
Cl4 0.537 0.035 0.409
Cl5 0.601 0.328 0.771
Cl6 0.700 0.706 0.398
Cl7 0.764 0.005 0.793
Cl8 0.809 0.743 0.054
Cl9 0.938 0.324 0.033
Cl10 0.992 0.053 0.286
O1 0.630 0.022 0.093

Results
Its space group is P1.


Short version: run ii is the most stable of them.


Run i
The following is a DFT calculation (PBE) of crystalline Na2Pr2MgTi2O8 at its relaxed geometry.

a = 3.918 Å, b = 3.918 Å, c = 12.211 Å
α = 90.00°, β = 90.00°, γ = 90.00°
Atoms (fractional coordinates):
Na1 0.000 0.500 0.136
Na2 0.500 0.000 0.864
Pr1 0.000 0.500 0.390
Pr2 0.500 0.000 0.610
Mg1 0.000 0.000 0.000
Ti1 0.000 0.500 0.764
Ti2 0.500 0.000 0.236
O1 0.000 0.000 0.243
O2 0.000 0.000 0.757
O3 0.000 0.500 0.579
O4 0.000 0.500 0.933
O5 0.500 0.000 0.067
O6 0.500 0.000 0.421
O7 0.500 0.500 0.260
O8 0.500 0.500 0.740

Results
Its space group is P-4m2.


Run ii
The following is a DFT calculation (PBE) of crystalline Na2Pr2MgTi2O8 at its relaxed geometry.

a = 3.697 Å, b = 3.697 Å, c = 16.589 Å
α = 90.00°, β = 90.00°, γ = 90.00°
Atoms (fractional coordinates):
Na1 0.000 0.000 0.000
Na2 0.500 0.500 0.128
Pr1 0.000 0.000 0.747
Pr2 0.500 0.500 0.575
Mg1 0.500 0.500 0.349
Ti1 0.000 0.000 0.249
Ti2 0.500 0.500 0.882
O1 0.000 0.000 0.142
O2 0.000 0.000 0.599
O3 0.000 0.500 0.286
O4 0.000 0.500 0.848
O5 0.500 0.000 0.286
O6 0.500 0.000 0.848
O7 0.500 0.500 0.712
O8 0.500 0.500 0.989

Results
Its space group is P4mm.


Short version: run ii is the most stable of them.